Entry 1:
DFT (PBE) results for a relaxed SmCuSi crystal.

Values from the calculation:
The value obtained for the density is 6.820 g/cm³. The value obtained for the formation energy is -0.62 eV/atom. As for the symmetry: P6_3/mmc, No. 194.

abc: 4.191 4.191 7.747
angles: 90.00 90.00 120.00
Fractional coordinates of all 6 atoms:
Sm (0.000, 0.000, 0.000)
Sm (0.000, 0.000, 0.500)
Cu (0.333, 0.667, 0.250)
Cu (0.667, 0.333, 0.750)
Si (0.333, 0.667, 0.750)
Si (0.667, 0.333, 0.250)

=====

Entry 2:
DFT (PBE) results for a relaxed CdTe crystal.

Values from the calculation:
Its total magnetic moment is 0.0 μB/f.u. The value obtained for the density is 6.532 g/cm³. The value obtained for the formation energy is -0.18 eV/atom. As for the symmetry: P4/mmm, No. 123.

abc: 3.094 3.094 6.373
angles: 90.00 90.00 90.00
Fractional coordinates of all 2 atoms:
Cd (0.000, 0.000, 0.000)
Te (0.000, 0.000, 0.500)

=====

Entry 3:
DFT (PBE) results for a relaxed Mg14MnBi crystal.

Values from the calculation:
Its energy relative to the lowest polymorph listed for this composition is 0.0 meV per atom. Its total magnetic moment is 3.3 μB/f.u. The value obtained for the density is 2.776 g/cm³. The value obtained for the formation energy is 0.04 eV/atom. As for the symmetry: Amm2, No. 38.

abc: 10.362 6.346 6.346
angles: 60.02 90.00 90.00
Fractional coordinates of all 16 atoms:
Mg (0.000, 0.000, 0.000)
Mg (0.000, 0.000, 0.500)
Mg (0.000, 0.500, 0.000)
Mg (0.000, 0.500, 0.500)
Mg (0.246, 0.168, 0.168)
Mg (0.250, 0.172, 0.661)
Mg (0.250, 0.661, 0.172)
Mg (0.253, 0.665, 0.665)
Mg (0.500, 0.500, 0.999)
Mg (0.500, 0.999, 0.500)
Mg (0.747, 0.665, 0.665)
Mg (0.750, 0.172, 0.661)
Mg (0.750, 0.661, 0.172)
Mg (0.754, 0.168, 0.168)
Mn (0.500, 0.500, 0.500)
Bi (0.500, 0.001, 0.001)

=====

Entry 4:
DFT (PBE) results for a relaxed P3RuO9 crystal.

Values from the calculation:
Its energy relative to the lowest polymorph listed for this composition is 2.6 meV per atom. Its total magnetic moment is 1.0 μB/f.u. The value obtained for the density is 2.775 g/cm³. The value obtained for the formation energy is -2.29 eV/atom. As for the symmetry: P2_1/c, No. 14.

abc: 6.402 15.563 8.474
angles: 90.00 106.58 90.00
Fractional coordinates of all 52 atoms:
P (0.091, 0.114, 0.296)
P (0.091, 0.386, 0.796)
P (0.290, 0.660, 0.484)
P (0.290, 0.840, 0.984)
P (0.349, 0.544, 0.778)
P (0.349, 0.956, 0.278)
P (0.651, 0.044, 0.722)
P (0.651, 0.456, 0.222)
P (0.710, 0.160, 0.016)
P (0.710, 0.340, 0.516)
P (0.909, 0.614, 0.204)
P (0.909, 0.886, 0.704)
Ru (0.380, 0.636, 0.124)
Ru (0.380, 0.864, 0.624)
Ru (0.620, 0.136, 0.376)
Ru (0.620, 0.364, 0.876)
O (0.036, 0.653, 0.381)
O (0.036, 0.847, 0.881)
O (0.055, 0.611, 0.094)
O (0.055, 0.889, 0.594)
O (0.138, 0.017, 0.246)
O (0.138, 0.483, 0.746)
O (0.301, 0.163, 0.360)
O (0.301, 0.337, 0.860)
O (0.314, 0.735, 0.597)
O (0.314, 0.765, 0.097)
O (0.318, 0.621, 0.875)
O (0.318, 0.879, 0.375)
O (0.326, 0.574, 0.593)
O (0.326, 0.926, 0.093)
O (0.435, 0.650, 0.372)
O (0.435, 0.850, 0.872)
O (0.442, 0.506, 0.160)
O (0.442, 0.994, 0.660)
O (0.558, 0.006, 0.340)
O (0.558, 0.494, 0.840)
O (0.565, 0.150, 0.128)
O (0.565, 0.350, 0.628)
O (0.674, 0.074, 0.907)
O (0.674, 0.426, 0.407)
O (0.682, 0.121, 0.625)
O (0.682, 0.379, 0.125)
O (0.686, 0.235, 0.903)
O (0.686, 0.265, 0.403)
O (0.699, 0.663, 0.140)
O (0.699, 0.837, 0.640)
O (0.862, 0.517, 0.254)
O (0.862, 0.983, 0.754)
O (0.945, 0.111, 0.406)
O (0.945, 0.389, 0.906)
O (0.964, 0.153, 0.119)
O (0.964, 0.347, 0.619)

=====

Entry 5:
DFT (PBE) results for a relaxed SrH12C4S4N2O8 crystal.

Values from the calculation:
Its total magnetic moment is 0.0 μB/f.u. The value obtained for the density is 1.991 g/cm³. The value obtained for the formation energy is -0.85 eV/atom. As for the symmetry: P2_1/c, No. 14.

abc: 7.868 9.039 21.337
angles: 90.00 108.23 90.00
Fractional coordinates of all 124 atoms:
Sr (0.205, 0.215, 0.033)
Sr (0.205, 0.285, 0.533)
Sr (0.795, 0.715, 0.467)
Sr (0.795, 0.785, 0.967)
H (0.055, 0.661, 0.822)
H (0.055, 0.839, 0.322)
H (0.060, 0.572, 0.282)
H (0.060, 0.928, 0.782)
H (0.143, 0.025, 0.331)
H (0.143, 0.475, 0.831)
H (0.186, 0.095, 0.808)
H (0.186, 0.405, 0.308)
H (0.209, 0.557, 0.366)
H (0.209, 0.943, 0.866)
H (0.291, 0.629, 0.862)
H (0.291, 0.871, 0.362)
H (0.317, 0.709, 0.107)
H (0.317, 0.791, 0.607)
H (0.394, 0.595, 0.231)
H (0.394, 0.905, 0.731)
H (0.437, 0.582, 0.071)
H (0.437, 0.918, 0.571)
H (0.451, 0.552, 0.770)
H (0.451, 0.948, 0.270)
H (0.455, 0.249, 0.390)
H (0.455, 0.251, 0.890)
H (0.458, 0.039, 0.797)
H (0.458, 0.461, 0.297)
H (0.542, 0.539, 0.703)
H (0.542, 0.961, 0.203)
H (0.545, 0.749, 0.110)
H (0.545, 0.751, 0.610)
H (0.549, 0.052, 0.730)
H (0.549, 0.448, 0.230)
H (0.563, 0.082, 0.429)
H (0.563, 0.418, 0.929)
H (0.606, 0.095, 0.269)
H (0.606, 0.405, 0.769)
H (0.683, 0.209, 0.393)
H (0.683, 0.291, 0.893)
H (0.709, 0.129, 0.638)
H (0.709, 0.371, 0.138)
H (0.791, 0.057, 0.134)
H (0.791, 0.443, 0.634)
H (0.814, 0.595, 0.692)
H (0.814, 0.905, 0.192)
H (0.857, 0.525, 0.169)
H (0.857, 0.975, 0.669)
H (0.940, 0.072, 0.218)
H (0.940, 0.428, 0.718)
H (0.945, 0.161, 0.678)
H (0.945, 0.339, 0.178)
C (0.119, 0.003, 0.824)
C (0.119, 0.497, 0.324)
C (0.155, 0.586, 0.853)
C (0.155, 0.914, 0.353)
C (0.417, 0.698, 0.081)
C (0.417, 0.802, 0.581)
C (0.498, 0.024, 0.239)
C (0.498, 0.476, 0.739)
C (0.502, 0.524, 0.261)
C (0.502, 0.976, 0.761)
C (0.583, 0.198, 0.419)
C (0.583, 0.302, 0.919)
C (0.845, 0.086, 0.647)
C (0.845, 0.414, 0.147)
C (0.881, 0.503, 0.676)
C (0.881, 0.997, 0.176)
S (0.057, 0.582, 0.651)
S (0.057, 0.918, 0.151)
S (0.112, 0.567, 0.930)
S (0.112, 0.933, 0.430)
S (0.321, 0.142, 0.196)
S (0.321, 0.358, 0.696)
S (0.337, 0.708, 0.505)
S (0.337, 0.792, 0.005)
S (0.663, 0.208, 0.995)
S (0.663, 0.292, 0.495)
S (0.679, 0.642, 0.304)
S (0.679, 0.858, 0.804)
S (0.888, 0.067, 0.570)
S (0.888, 0.433, 0.070)
S (0.943, 0.082, 0.849)
S (0.943, 0.418, 0.349)
N (0.143, 0.726, 0.966)
N (0.143, 0.774, 0.466)
N (0.177, 0.052, 0.138)
N (0.177, 0.448, 0.638)
N (0.823, 0.552, 0.362)
N (0.823, 0.948, 0.862)
N (0.857, 0.226, 0.534)
N (0.857, 0.274, 0.034)
O (0.028, 0.149, 0.914)
O (0.028, 0.351, 0.414)
O (0.079, 0.041, 0.584)
O (0.079, 0.459, 0.084)
O (0.157, 0.682, 0.703)
O (0.157, 0.818, 0.203)
O (0.234, 0.048, 0.467)
O (0.234, 0.452, 0.967)
O (0.247, 0.207, 0.244)
O (0.247, 0.293, 0.744)
O (0.309, 0.554, 0.518)
O (0.309, 0.946, 0.018)
O (0.395, 0.247, 0.158)
O (0.395, 0.253, 0.658)
O (0.466, 0.735, 0.469)
O (0.466, 0.765, 0.969)
O (0.534, 0.235, 0.031)
O (0.534, 0.265, 0.531)
O (0.605, 0.747, 0.342)
O (0.605, 0.753, 0.842)
O (0.691, 0.054, 0.982)
O (0.691, 0.446, 0.482)
O (0.753, 0.707, 0.256)
O (0.753, 0.793, 0.756)
O (0.766, 0.548, 0.033)
O (0.766, 0.952, 0.533)
O (0.843, 0.182, 0.797)
O (0.843, 0.318, 0.297)
O (0.921, 0.541, 0.916)
O (0.921, 0.959, 0.416)
O (0.972, 0.649, 0.586)
O (0.972, 0.851, 0.086)

=====

Entry 6:
DFT (PBE) results for a relaxed Rb2Hg3Se4 crystal.

Values from the calculation:
The value obtained for the density is 6.088 g/cm³. The value obtained for the formation energy is -0.79 eV/atom. As for the symmetry: Ibam, No. 72.

abc: 10.098 10.098 10.098
angles: 141.34 107.09 85.71
Fractional coordinates of all 18 atoms:
Rb (0.120, 0.229, 0.349)
Rb (0.380, 0.729, 0.109)
Rb (0.620, 0.271, 0.891)
Rb (0.880, 0.771, 0.651)
Hg (0.086, 0.250, 0.836)
Hg (0.250, 0.750, 0.500)
Hg (0.414, 0.250, 0.164)
Hg (0.586, 0.750, 0.836)
Hg (0.750, 0.250, 0.500)
Hg (0.914, 0.750, 0.164)
Se (0.005, 0.413, 0.145)
Se (0.233, 0.087, 0.592)
Se (0.267, 0.860, 0.855)
Se (0.495, 0.640, 0.408)
Se (0.505, 0.360, 0.592)
Se (0.733, 0.140, 0.145)
Se (0.767, 0.913, 0.408)
Se (0.995, 0.587, 0.855)